Record 1
VASP calculation (PBE) on Fe2CoN2 after structural relaxation.

```
data_Fe2CoN2
_symmetry_space_group_name_H-M 'C 1 2/m 1'
_symmetry_Int_Tables_number 12
_cell_length_a 4.9898
_cell_length_b 3.0237
_cell_length_c 5.9950
_cell_angle_alpha 90.00
_cell_angle_beta 92.38
_cell_angle_gamma 90.00
loop_
_symmetry_equiv_pos_as_xyz
'x,y,z'
'-x,-y,-z'
'-x,y,-z'
'x,-y,z'
'x+1/2,y+1/2,z'
'-x+1/2,-y+1/2,-z'
'-x+1/2,y+1/2,-z'
'x+1/2,-y+1/2,z'
loop_
_atom_site_label
_atom_site_type_symbol
_atom_site_fract_x
_atom_site_fract_y
_atom_site_fract_z
_atom_site_occupancy
Fe1 Fe 0.1624 0.0000 0.3291 1
Co1 Co 0.0000 0.5000 0.0000 1
N1 N 0.1849 0.0000 0.7810 1
```

Crystal system: monoclinic
M_tot: 1.30 μB per formula unit
Electronic total energy: -7.890 eV/atom
Density: 7.30 Mg/m³

---

Record 2
VASP calculation (PBE) on LiBC2O4F2 after structural relaxation.

```
data_LiBC2O4F2
_symmetry_space_group_name_H-M 'C m c m'
_symmetry_Int_Tables_number 63
_symmetry_space_group_name_Hall '-C 2c 2'
_cell_length_a 6.5258
_cell_length_b 11.5597
_cell_length_c 6.4751
_cell_angle_alpha 90.00
_cell_angle_beta 90.00
_cell_angle_gamma 90.00
loop_
_atom_site_label
_atom_site_type_symbol
_atom_site_fract_x
_atom_site_fract_y
_atom_site_fract_z
_atom_site_occupancy
Li1 Li 0.0000 0.0333 0.2500 1
B1 B 0.0000 0.3987 0.7500 1
C1 C 0.0000 0.2098 0.6320 1
O1 O 0.0000 0.1201 0.5304 1
O2 O 0.0000 0.3170 0.5647 1
F1 F 0.1769 0.4656 0.7500 1
```

Crystal system: orthorhombic
M_tot: 0.00 μB per formula unit
Electronic total energy: -6.967 eV/atom
Density: 1.96 Mg/m³

---

Record 3
VASP calculation (PBE) on DyGa3B4O12 after structural relaxation.

```
data_DyGa3B4O12
_symmetry_space_group_name_H-M 'R 3 2'
_symmetry_Int_Tables_number 155
_symmetry_space_group_name_Hall 'R 3 2"'
_cell_length_a 9.5523
_cell_length_b 9.5523
_cell_length_c 7.5278
_cell_angle_alpha 90.00
_cell_angle_beta 90.00
_cell_angle_gamma 120.00
loop_
_atom_site_label
_atom_site_type_symbol
_atom_site_fract_x
_atom_site_fract_y
_atom_site_fract_z
_atom_site_occupancy
Dy1 Dy 0.0000 0.0000 0.0000 1
Ga1 Ga 0.0000 0.5478 0.0000 1
B1 B 0.0000 0.0000 0.5000 1
B2 B 0.0000 0.4504 0.5000 1
O1 O 0.0000 0.5949 0.5000 1
O2 O 0.0000 0.8550 0.5000 1
O3 O 0.0228 0.2083 0.1837 1
```

Crystal system: trigonal
M_tot: 0.00 μB per formula unit
Electronic total energy: -7.362 eV/atom
Density: 5.08 Mg/m³

---

Record 4
VASP calculation (PBE) on Ta3Bi4O14 after structural relaxation.

```
data_Ta3Bi4O14
_symmetry_space_group_name_H-M 'C 1 2/c 1'
_symmetry_Int_Tables_number 15
_cell_length_a 13.2545
_cell_length_b 7.6558
_cell_length_c 12.0857
_cell_angle_alpha 90.00
_cell_angle_beta 101.61
_cell_angle_gamma 90.00
loop_
_symmetry_equiv_pos_as_xyz
'x,y,z'
'-x,-y,-z'
'-x,y,-z+1/2'
'x,-y,z+1/2'
'x+1/2,y+1/2,z'
'-x+1/2,-y+1/2,-z'
'-x+1/2,y+1/2,-z+1/2'
'x+1/2,-y+1/2,z+1/2'
loop_
_atom_site_label
_atom_site_type_symbol
_atom_site_fract_x
_atom_site_fract_y
_atom_site_fract_z
_atom_site_occupancy
Ta1 Ta 0.0000 0.1506 0.2500 1
Ta2 Ta 0.2487 0.1093 0.7413 1
Bi1 Bi 0.1146 0.1413 0.9686 1
Bi2 Bi 0.1180 0.3902 0.5070 1
O1 O 0.0041 0.1344 0.4158 1
O2 O 0.0229 0.3922 0.9197 1
O3 O 0.1101 0.0424 0.7724 1
O4 O 0.1111 0.3227 0.2814 1
O5 O 0.2064 0.3490 0.0865 1
O6 O 0.2063 0.3590 0.7172 1
O7 O 0.2094 0.0628 0.5817 1
```

Crystal system: monoclinic
M_tot: 0.51 μB per formula unit
Electronic total energy: -7.761 eV/atom
Density: 8.86 Mg/m³

---

Record 5
VASP calculation (PBE) on DyAl6Cr6 after structural relaxation.

```
data_DyAl6Cr6
_symmetry_space_group_name_H-M 'I m m m'
_symmetry_Int_Tables_number 71
_symmetry_space_group_name_Hall '-I 2 2'
_cell_length_a 5.0640
_cell_length_b 8.7057
_cell_length_c 8.8265
_cell_angle_alpha 90.00
_cell_angle_beta 90.00
_cell_angle_gamma 90.00
loop_
_atom_site_label
_atom_site_type_symbol
_atom_site_fract_x
_atom_site_fract_y
_atom_site_fract_z
_atom_site_occupancy
Dy1 Dy 0.0000 0.0000 0.0000 1
Al1 Al 0.0000 0.0000 0.3335 1
Al2 Al 0.0000 0.3029 0.5000 1
Al3 Al 0.0000 0.3469 0.0000 1
Cr1 Cr 0.0000 0.5000 0.2606 1
Cr2 Cr 0.2500 0.2500 0.2500 1
```

Crystal system: orthorhombic
M_tot: 0.28 μB per formula unit
Electronic total energy: -6.654 eV/atom
Density: 5.43 Mg/m³

---

Record 6
VASP calculation (PBE) on W2N3 after structural relaxation.

```
data_W2N3
_symmetry_space_group_name_H-M 'P 63/m m c'
_symmetry_Int_Tables_number 194
_symmetry_space_group_name_Hall '-P 6c 2c'
_cell_length_a 2.9194
_cell_length_b 2.9194
_cell_length_c 15.8354
_cell_angle_alpha 90.00
_cell_angle_beta 90.00
_cell_angle_gamma 120.00
loop_
_atom_site_label
_atom_site_type_symbol
_atom_site_fract_x
_atom_site_fract_y
_atom_site_fract_z
_atom_site_occupancy
W1 W 0.3333 0.6667 0.1572 1
N1 N 0.3333 0.6667 0.5865 1
N2 N 0.3333 0.6667 0.7500 1
```

Crystal system: hexagonal
M_tot: 0.00 μB per formula unit
Electronic total energy: -10.275 eV/atom
Density: 11.64 Mg/m³

---

Record 7
VASP calculation (PBE) on AlP2CN3O10 after structural relaxation.

```
data_AlP2CN3O10
_symmetry_space_group_name_H-M 'P n m a'
_symmetry_Int_Tables_number 62
_cell_length_a 7.2810
_cell_length_b 20.6692
_cell_length_c 7.0470
_cell_angle_alpha 90.00
_cell_angle_beta 90.00
_cell_angle_gamma 90.00
loop_
_symmetry_equiv_pos_as_xyz
'x,y,z'
'-x,-y,-z'
'-x+1/2,-y,z+1/2'
'x+1/2,y,-z+1/2'
'x+1/2,-y+1/2,-z+1/2'
'-x+1/2,y+1/2,z+1/2'
'-x,y+1/2,-z'
'x,-y+1/2,z'
loop_
_atom_site_label
_atom_site_type_symbol
_atom_site_fract_x
_atom_site_fract_y
_atom_site_fract_z
_atom_site_occupancy
Al1 Al 0.0000 0.0000 0.0000 1
P1 P 0.1406 0.0855 0.3753 1
C1 C 0.0328 0.7500 0.2198 1
N1 N 0.0072 0.7500 0.4103 1
N2 N 0.0450 0.6930 0.1260 1
O1 O 0.0224 0.6103 0.5042 1
O2 O 0.0758 0.0380 0.2220 1
O3 O 0.1264 0.0679 0.8686 1
O4 O 0.2168 0.1485 0.2879 1
O5 O 0.2166 0.5503 0.0000 1
```

Crystal system: orthorhombic
M_tot: 11.36 μB per formula unit
Electronic total energy: -6.077 eV/atom
Density: 1.90 Mg/m³

---

Record 8
VASP calculation (PBE) on Pd3N after structural relaxation.

```
data_Pd3N
_symmetry_space_group_name_H-M 'P m -3 n'
_symmetry_Int_Tables_number 223
_symmetry_space_group_name_Hall '-P 4n 2 3'
_cell_length_a 4.8546
_cell_length_b 4.8546
_cell_length_c 4.8546
_cell_angle_alpha 90.00
_cell_angle_beta 90.00
_cell_angle_gamma 90.00
loop_
_atom_site_label
_atom_site_type_symbol
_atom_site_fract_x
_atom_site_fract_y
_atom_site_fract_z
_atom_site_occupancy
Pd1 Pd 0.0000 0.2500 0.5000 1
N1 N 0.0000 0.0000 0.0000 1
```

Crystal system: cubic
M_tot: 0.21 μB per formula unit
Electronic total energy: -4.649 eV/atom
Density: 9.67 Mg/m³

---

Record 9
VASP calculation (PBE) on CeCuSi2 after structural relaxation.

```
data_CeCuSi2
_symmetry_space_group_name_H-M 'C m c m'
_symmetry_Int_Tables_number 63
_symmetry_space_group_name_Hall '-C 2c 2'
_cell_length_a 4.1359
_cell_length_b 20.3944
_cell_length_c 3.9000
_cell_angle_alpha 90.00
_cell_angle_beta 90.00
_cell_angle_gamma 90.00
loop_
_atom_site_label
_atom_site_type_symbol
_atom_site_fract_x
_atom_site_fract_y
_atom_site_fract_z
_atom_site_occupancy
Ce1 Ce 0.0000 0.1409 0.2500 1
Cu1 Cu 0.0000 0.4164 0.2500 1
Si1 Si 0.0000 0.0300 0.7500 1
Si2 Si 0.0000 0.2536 0.7500 1
```

Crystal system: orthorhombic
M_tot: 0.53 μB per formula unit
Electronic total energy: -5.287 eV/atom
Density: 5.25 Mg/m³

---

Record 10
VASP calculation (PBE) on In2Cu3P4O16 after structural relaxation.

```
data_In2Cu3P4O16
_symmetry_space_group_name_H-M 'P 1 21/c 1'
_symmetry_Int_Tables_number 14
_cell_length_a 9.0834
_cell_length_b 8.9129
_cell_length_c 7.9989
_cell_angle_alpha 90.00
_cell_angle_beta 107.67
_cell_angle_gamma 90.00
loop_
_symmetry_equiv_pos_as_xyz
'x,y,z'
'-x,-y,-z'
'-x,y+1/2,-z+1/2'
'x,-y+1/2,z+1/2'
loop_
_atom_site_label
_atom_site_type_symbol
_atom_site_fract_x
_atom_site_fract_y
_atom_site_fract_z
_atom_site_occupancy
In1 In 0.2442 0.0008 0.2466 1
Cu1 Cu 0.0000 0.0000 0.5000 1
Cu2 Cu 0.4041 0.6275 0.3864 1
P1 P 0.0864 0.6870 0.3550 1
P2 P 0.4019 0.1617 0.6586 1
O1 O 0.0607 0.1393 0.1053 1
O2 O 0.0873 0.6365 0.8423 1
O3 O 0.1112 0.6254 0.1868 1
O4 O 0.2356 0.6325 0.5056 1
O5 O 0.2708 0.1100 0.5007 1
O6 O 0.4042 0.1629 0.1892 1
O7 O 0.4050 0.0845 0.8316 1
O8 O 0.4360 0.6476 0.8789 1
```

Crystal system: monoclinic
M_tot: 2.00 μB per formula unit
Electronic total energy: -6.459 eV/atom
Density: 4.31 Mg/m³

---

Record 11
VASP calculation (PBE) on BiTe2Br4 after structural relaxation.

```
data_BiTe2Br4
_symmetry_space_group_name_H-M 'P -1'
_symmetry_Int_Tables_number 2
_cell_length_a 7.5145
_cell_length_b 8.0441
_cell_length_c 9.3635
_cell_angle_alpha 91.57
_cell_angle_beta 102.76
_cell_angle_gamma 94.76
loop_
_symmetry_equiv_pos_as_xyz
'x,y,z'
'-x,-y,-z'
loop_
_atom_site_label
_atom_site_type_symbol
_atom_site_fract_x
_atom_site_fract_y
_atom_site_fract_z
_atom_site_occupancy
Bi1 Bi 0.2125 0.4152 0.3872 1
Te1 Te 0.2818 0.8589 0.0115 1
Te2 Te 0.3841 0.0473 0.8019 1
Br1 Br 0.0423 0.0893 0.3112 1
Br2 Br 0.1179 0.4338 0.6973 1
Br3 Br 0.2910 0.4294 0.1186 1
Br4 Br 0.4470 0.7432 0.4597 1
```

Crystal system: triclinic
M_tot: 0.00 μB per formula unit
Electronic total energy: -2.874 eV/atom
Density: 4.74 Mg/m³

---

Record 12
VASP calculation (PBE) on Ce2Mn5Ni5 after structural relaxation.

```
data_Ce2Mn5Ni5
_symmetry_space_group_name_H-M 'P m m m'
_symmetry_Int_Tables_number 47
_cell_length_a 3.9984
_cell_length_b 5.1302
_cell_length_c 8.7605
_cell_angle_alpha 90.00
_cell_angle_beta 90.00
_cell_angle_gamma 90.00
loop_
_symmetry_equiv_pos_as_xyz
'x,y,z'
'-x,-y,-z'
'-x,-y,z'
'x,y,-z'
'x,-y,-z'
'-x,y,z'
'-x,y,-z'
'x,-y,z'
loop_
_atom_site_label
_atom_site_type_symbol
_atom_site_fract_x
_atom_site_fract_y
_atom_site_fract_z
_atom_site_occupancy
Ce1 Ce 0.0000 0.0000 0.0000 1
Ce2 Ce 0.0000 0.5000 0.5000 1
Mn1 Mn 0.0000 0.0000 0.3333 1
Mn2 Mn 0.0000 0.5000 0.1589 1
Mn3 Mn 0.5000 0.5000 0.0000 1
Ni1 Ni 0.5000 0.0000 0.5000 1
Ni2 Ni 0.5000 0.2482 0.2475 1
```

Crystal system: orthorhombic
M_tot: 14.27 μB per formula unit
Electronic total energy: -7.320 eV/atom
Density: 7.84 Mg/m³

---

Question: The lowest electronic total energy belongs to which entry?
Answer: W2N3